No. 1
## LuZrRu2 (PBE)

Data for a relaxed LuZrRu2 crystal.

Cell: 4.673 4.673 4.673 Å, 60.00 60.00 60.00°
Sites, in units of the cell vectors:
Lu 0.500 0.500 0.500
Ru 0.750 0.750 0.750
Ru 0.250 0.250 0.250
Zr 0.000 0.000 0.000

Computed properties:
Density, g/cm³: 10.78

No. 2
## Lu2S3 (PBE)

Data for a relaxed Lu2S3 crystal.

Cell: 13.905 7.102 7.889 Å, 122.44 151.79 52.50°
Sites, in units of the cell vectors:
S 0.065 0.750 0.130
Lu 0.268 0.270 0.213
Lu 0.732 0.730 0.787
S 0.257 0.311 0.892
S 0.635 0.189 0.892
S 0.743 0.689 0.108
S 0.365 0.811 0.108
Lu 0.945 0.230 0.213
S 0.935 0.250 0.870
Lu 0.055 0.770 0.787

Computed properties:
Density, g/cm³: 5.07

No. 3
## Lu2S3 (PBE)

Data for a relaxed Lu2S3 crystal.

Cell: 6.741 6.741 18.441 Å, 90.00 90.00 120.00°
Sites, in units of the cell vectors:
S 0.000 0.697 0.053
S 0.000 0.365 0.895
Lu 0.333 0.667 0.292
Lu 0.333 0.667 0.490
Lu 0.000 0.000 0.659
S 0.000 0.635 0.395
Lu 0.667 0.333 0.292
S 0.344 0.000 0.222
Lu 0.333 0.667 0.990
S 0.635 0.000 0.395
Lu 0.000 0.000 0.458
Lu 0.667 0.333 0.490
Lu 0.667 0.333 0.792
S 0.656 0.000 0.722
Lu 0.000 0.000 0.958
S 0.365 0.365 0.395
Lu 0.000 0.000 0.159
S 0.000 0.656 0.722
S 0.635 0.635 0.895
S 0.000 0.303 0.553
S 0.697 0.000 0.053
S 0.000 0.344 0.222
S 0.656 0.656 0.222
S 0.344 0.344 0.722
Lu 0.667 0.333 0.990
S 0.303 0.000 0.553
S 0.697 0.697 0.553
S 0.365 0.000 0.895
Lu 0.333 0.667 0.792
S 0.303 0.303 0.053

Computed properties:
Density, g/cm³: 6.13

No. 4
## Lu2S3 (PBE)

Data for a relaxed Lu2S3 crystal.

Cell: 13.526 13.526 13.526 Å, 144.80 144.80 50.63°
Sites, in units of the cell vectors:
Lu 0.398 0.800 0.121
Lu 0.352 0.973 0.902
Lu 0.679 0.277 0.879
S 0.575 0.958 0.246
S 0.042 0.289 0.617
Lu 0.086 0.586 0.500
S 0.039 0.292 0.117
S 0.846 0.591 0.901
S 0.671 0.425 0.383
S 0.175 0.921 0.883
S 0.690 0.945 0.099
S 0.373 0.618 0.121
S 0.409 0.310 0.255
S 0.253 0.632 0.255
Lu 0.758 0.125 0.133
S 0.341 0.096 0.401
Lu 0.375 0.242 0.367
Lu 0.550 0.648 0.621
Lu 0.414 0.914 0.500
S 0.904 0.305 0.245
S 0.708 0.825 0.746
S 0.711 0.329 0.754
S 0.368 0.623 0.621
S 0.695 0.940 0.599
S 0.002 0.747 0.379
Lu 0.992 0.625 0.867
S 0.377 0.998 0.745
S 0.055 0.154 0.745
S 0.079 0.961 0.254
Lu 0.200 0.321 0.598
Lu 0.027 0.929 0.379
S 0.060 0.659 0.755
S 0.497 0.252 0.879
Lu 0.336 0.336 0.000
S 0.748 0.627 0.245
Lu 0.723 0.602 0.402
Lu 0.071 0.450 0.098
S 0.382 0.503 0.755
Lu 0.664 0.664 0.000
Lu 0.875 0.008 0.633

Computed properties:
Density, g/cm³: 7.25

No. 5
## Lu2S3 (PBE)

Data for a relaxed Lu2S3 crystal.

Cell: 3.787 10.379 10.448 Å, 90.00 90.00 90.00°
Sites, in units of the cell vectors:
S 0.750 0.373 0.455
S 0.750 0.447 0.119
S 0.250 0.305 0.729
Lu 0.750 0.495 0.691
S 0.750 0.127 0.955
S 0.250 0.195 0.229
Lu 0.250 0.995 0.809
S 0.750 0.695 0.271
Lu 0.750 0.812 0.506
Lu 0.750 0.688 0.006
Lu 0.750 0.005 0.191
S 0.250 0.553 0.881
Lu 0.250 0.505 0.309
S 0.750 0.805 0.771
S 0.750 0.053 0.619
S 0.250 0.873 0.045
S 0.250 0.947 0.381
Lu 0.250 0.312 0.994
S 0.250 0.627 0.545
Lu 0.250 0.188 0.494

Computed properties:
Density, g/cm³: 7.22

No. 6
## Lu2S3 (PBE)

Data for a relaxed Lu2S3 crystal.

Cell: 6.741 6.741 7.213 Å, 62.14 62.14 60.00°
Sites, in units of the cell vectors:
S 0.447 0.053 0.750
Lu 0.651 0.651 0.047
Lu 0.849 0.849 0.453
S 0.947 0.250 0.250
S 0.250 0.553 0.250
S 0.750 0.447 0.750
S 0.053 0.750 0.750
Lu 0.151 0.151 0.547
Lu 0.349 0.349 0.953
S 0.553 0.947 0.250

Computed properties:
Density, g/cm³: 6.20

No. 7
## SrLu2S4 (PBE)

Data for a relaxed SrLu2S4 crystal.

Cell: 3.928 11.982 14.135 Å, 90.00 90.00 90.00°
Sites, in units of the cell vectors:
S 0.250 0.205 0.834
Lu 0.750 0.582 0.099
Lu 0.250 0.439 0.390
Sr 0.750 0.239 0.666
S 0.250 0.126 0.529
S 0.250 0.626 0.971
S 0.750 0.795 0.166
Lu 0.250 0.939 0.110
S 0.750 0.089 0.077
S 0.750 0.973 0.716
S 0.750 0.589 0.423
S 0.250 0.411 0.577
S 0.250 0.027 0.284
S 0.750 0.374 0.029
S 0.750 0.473 0.784
S 0.250 0.911 0.923
Lu 0.750 0.061 0.890
S 0.750 0.295 0.334
Lu 0.750 0.561 0.610
Lu 0.750 0.082 0.401
Sr 0.250 0.761 0.334
S 0.250 0.705 0.666
S 0.750 0.874 0.471
Sr 0.750 0.739 0.834
Lu 0.250 0.418 0.901
Lu 0.250 0.918 0.599
Sr 0.250 0.261 0.166
S 0.250 0.527 0.216

Computed properties:
Density, g/cm³: 5.65

No. 8
## Lu2ZnS4 (PBE)

Data for a relaxed Lu2ZnS4 crystal.

Cell: 6.268 7.727 13.299 Å, 90.00 90.00 90.00°
Sites, in units of the cell vectors:
Lu 0.002 0.750 0.265
S 0.221 0.750 0.090
S 0.742 0.510 0.668
S 0.246 0.250 0.572
S 0.742 0.990 0.668
S 0.754 0.750 0.428
S 0.758 0.510 0.168
Lu 0.998 0.250 0.735
S 0.254 0.250 0.072
Lu 0.000 0.000 0.000
S 0.242 0.010 0.832
S 0.258 0.490 0.332
Zn 0.912 0.750 0.592
S 0.279 0.750 0.590
Lu 0.500 0.500 0.500
S 0.758 0.990 0.168
Zn 0.412 0.250 0.908
S 0.242 0.490 0.832
S 0.779 0.250 0.910
S 0.258 0.010 0.332
Lu 0.500 0.000 0.500
Zn 0.088 0.250 0.408
Zn 0.588 0.750 0.092
S 0.721 0.250 0.410
Lu 0.000 0.500 0.000
Lu 0.498 0.750 0.765
Lu 0.502 0.250 0.235
S 0.746 0.750 0.928

Computed properties:
Density, g/cm³: 5.61

No. 9
## LuSb (PBE)

Data for a relaxed LuSb crystal.

Cell: 3.741 3.741 3.741 Å, 90.00 90.00 90.00°
Sites, in units of the cell vectors:
Lu 0.000 0.000 0.000
Sb 0.500 0.500 0.500

Computed properties:
Density, g/cm³: 9.41

No. 10
## LuSb2 (PBE)

Data for a relaxed LuSb2 crystal.

Cell: 3.557 3.557 8.629 Å, 90.00 90.00 124.99°
Sites, in units of the cell vectors:
Sb 0.500 0.000 0.711
Sb 0.000 0.500 0.289
Lu 0.000 0.000 0.000

Computed properties:
Density, g/cm³: 7.77

No. 11
## LuSb (PBE)

Data for a relaxed LuSb crystal.

Cell: 4.314 4.314 4.314 Å, 60.00 60.00 60.00°
Sites, in units of the cell vectors:
Lu 0.000 0.000 0.000
Sb 0.500 0.500 0.500

Computed properties:
Density, g/cm³: 8.68

No. 12
## Lu5Sb3 (PBE)

Data for a relaxed Lu5Sb3 crystal.

Cell: 7.946 9.164 11.594 Å, 90.00 90.00 90.00°
Sites, in units of the cell vectors:
Sb 0.566 0.997 0.326
Lu 0.814 0.250 0.281
Lu 0.027 0.750 0.990
Sb 0.066 0.997 0.174
Lu 0.145 0.250 0.715
Lu 0.806 0.062 0.561
Lu 0.355 0.750 0.215
Sb 0.090 0.250 0.459
Lu 0.806 0.438 0.561
Lu 0.473 0.250 0.490
Lu 0.194 0.938 0.439
Sb 0.434 0.497 0.674
Lu 0.686 0.750 0.781
Lu 0.306 0.062 0.939
Lu 0.973 0.250 0.010
Sb 0.934 0.003 0.826
Lu 0.645 0.250 0.785
Lu 0.194 0.562 0.439
Lu 0.306 0.438 0.939
Sb 0.910 0.750 0.541
Sb 0.066 0.503 0.174
Lu 0.186 0.750 0.719
Sb 0.410 0.750 0.959
Lu 0.314 0.250 0.219
Lu 0.694 0.562 0.061
Sb 0.434 0.003 0.674
Lu 0.527 0.750 0.510
Sb 0.934 0.497 0.826
Sb 0.590 0.250 0.041
Lu 0.694 0.938 0.061
Lu 0.855 0.750 0.285
Sb 0.566 0.503 0.326

Computed properties:
Density, g/cm³: 9.76

Q: Which final energy values were calculated for the entries above? A: -34.006; -61.954; -189.106; -250.968; -126.102; -63.375; -168.651; -154.797; -9.979; -13.342; -10.679; -166.189, in eV/cell.